DFT (PBE-GGA) results for crystalline CaSiH2O4 at its relaxed geometry.

Computed properties:
DFT formation energy: -1.87 eV/atom
MP2020-corrected energy: -6.120 eV/atom
M_tot: 2.805 μB per cell

Cell lengths 12.5115, 9.5665, 15.5423 Å; angles 53.58, 37.97, 88.45 degrees
Positions (direct):
Ca: 0.0772 0.9228 0.8372
Ca: 0.0872 0.4128 0.3272
Ca: 0.4128 0.0872 0.1728
Ca: 0.9228 0.0772 0.1628
Si: 0.3453 0.5815 0.4177
Si: 0.5815 0.3453 0.6555
Si: 0.5945 0.8323 0.6685
Si: 0.8323 0.5945 0.9047
H: 0.2243 0.7007 0.6941
H: 0.3210 0.6509 0.5756
H: 0.5559 0.8690 0.0257
H: 0.6509 0.3210 0.4525
H: 0.6744 0.7975 0.9290
H: 0.7007 0.2243 0.3810
H: 0.7975 0.6744 0.5991
H: 0.8690 0.5559 0.5493
O: 0.0325 0.7076 0.8242
O: 0.1815 0.1815 0.3185
O: 0.3334 0.6748 0.6220
O: 0.4258 0.8143 0.2175
O: 0.4782 0.5104 0.3253
O: 0.5104 0.4782 0.6861
O: 0.5636 0.5636 0.4364
O: 0.5639 0.9247 0.7396
O: 0.6280 0.8803 0.9166
O: 0.6748 0.3334 0.3697
O: 0.7076 0.0325 0.4357
O: 0.8143 0.4258 0.5424
O: 0.8136 0.8136 0.6864
O: 0.8803 0.6280 0.5752
O: 0.9247 0.5639 0.7718
O: 0.9315 0.9315 0.0685

DFT (PBE-GGA) results for crystalline BaCaHf4O12 at its relaxed geometry.

Computed properties:
DFT formation energy: -3.24 eV/atom
MP2020-corrected energy: -8.972 eV/atom
M_tot: 4.000 μB per cell

Cell lengths 8.2067, 5.8396, 5.8396 Å; angles 90.04, 90.00, 90.00 degrees
Positions (direct):
Ba: 0.0000 0.0000 0.0000
Ca: 0.5000 0.4604 0.4604
Hf: 0.2554 0.4909 0.9747
Hf: 0.2554 0.9747 0.4909
Hf: 0.7446 0.4909 0.9747
Hf: 0.7446 0.9747 0.4909
O: 0.0000 0.5021 0.9711
O: 0.0000 0.9711 0.5021
O: 0.2408 0.2496 0.2496
O: 0.2511 0.2115 0.7560
O: 0.2511 0.7560 0.2115
O: 0.2995 0.6960 0.6960
O: 0.5000 0.0523 0.4665
O: 0.5000 0.4665 0.0523
O: 0.7005 0.6960 0.6960
O: 0.7489 0.2115 0.7560
O: 0.7489 0.7560 0.2115
O: 0.7592 0.2496 0.2496

DFT (PBE-GGA) results for crystalline SiO2 at its relaxed geometry.

Computed properties:
DFT formation energy: -2.57 eV/atom
MP2020-corrected energy: -7.677 eV/atom
M_tot: 0.001 μB per cell

Cell lengths 4.6827, 4.6845, 8.3281 Å; angles 90.00, 113.26, 90.00 degrees
Positions (direct):
Si: 0.2359 0.2262 0.4439
Si: 0.2359 0.7738 0.9439
Si: 0.7641 0.2262 0.0561
Si: 0.7641 0.7738 0.5561
O: 0.0000 0.0000 0.0000
O: 0.0000 0.0000 0.5000
O: 0.0000 0.3309 0.2500
O: 0.0000 0.6691 0.7500
O: 0.5000 0.0000 0.0000
O: 0.5000 0.0000 0.5000
O: 0.5000 0.5000 0.0000
O: 0.5000 0.5000 0.5000

DFT (PBE-GGA) results for crystalline NaPr2Cl6 at its relaxed geometry.

Computed properties:
DFT formation energy: -2.46 eV/atom
MP2020-corrected energy: -4.898 eV/atom
M_tot: 0.033 μB per cell

Cell lengths 7.9977, 7.9977, 3.9567 Å; angles 90.00, 90.00, 120.00 degrees
Positions (direct):
Na: 0.0000 0.0000 0.0000
Pr: 0.3333 0.6667 0.7509
Pr: 0.6667 0.3333 0.2491
Cl: 0.0798 0.6974 0.2495
Cl: 0.3026 0.3824 0.2495
Cl: 0.3824 0.0798 0.7505
Cl: 0.6176 0.9202 0.2495
Cl: 0.6974 0.6176 0.7505
Cl: 0.9202 0.3026 0.7505

DFT (PBE-GGA) results for crystalline CeSe2 at its relaxed geometry.

Computed properties:
DFT formation energy: -1.41 eV/atom
MP2020-corrected energy: -5.721 eV/atom
M_tot: 0.002 μB per cell

Cell lengths 13.6682, 13.6682, 23.5035 Å; angles 90.00, 90.00, 101.38 degrees
Positions (direct):
Ce: 0.0000 0.0000 0.1343
Ce: 0.0000 0.0000 0.8657
Ce: 0.0871 0.6879 0.1809
Ce: 0.1616 0.8384 0.0000
Ce: 0.1880 0.5904 0.6838
Ce: 0.3120 0.9129 0.8191
Ce: 0.3397 0.6603 0.5000
Ce: 0.4096 0.8120 0.3162
Ce: 0.5000 0.5000 0.3603
Ce: 0.5000 0.5000 0.6397
Ce: 0.5904 0.1880 0.3162
Ce: 0.6603 0.3397 0.5000
Ce: 0.6879 0.0871 0.8191
Ce: 0.8120 0.4096 0.6838
Ce: 0.8384 0.1616 0.0000
Ce: 0.9129 0.3120 0.1809
Se: 0.0000 0.5000 0.2148
Se: 0.0000 0.5000 0.7169
Se: 0.0028 0.8365 0.9303
Se: 0.0321 0.1761 0.1925
Se: 0.1414 0.6774 0.0703
Se: 0.1635 0.9972 0.0697
Se: 0.1761 0.0321 0.8075
Se: 0.1811 0.6414 0.5720
Se: 0.2468 0.7524 0.7513
Se: 0.2476 0.7532 0.2487
Se: 0.3226 0.8586 0.9297
Se: 0.3255 0.4739 0.6992
Se: 0.3381 0.5068 0.4262
Se: 0.3586 0.8189 0.4280
Se: 0.4739 0.3255 0.3008
Se: 0.4932 0.6619 0.5738
Se: 0.5000 0.0000 0.2831
Se: 0.5000 0.0000 0.7852
Se: 0.5068 0.3381 0.5738
Se: 0.5261 0.6745 0.3008
Se: 0.6414 0.1811 0.4280
Se: 0.6619 0.4932 0.4262
Se: 0.6745 0.5261 0.6992
Se: 0.6774 0.1414 0.9297
Se: 0.7524 0.2468 0.2487
Se: 0.7532 0.2476 0.7513
Se: 0.8189 0.3586 0.5720
Se: 0.8239 0.9679 0.8075
Se: 0.8365 0.0028 0.0697
Se: 0.8586 0.3226 0.0703
Se: 0.9679 0.8239 0.1925
Se: 0.9972 0.1635 0.9303

DFT (PBE-GGA) results for crystalline Rb2NaPdF6 at its relaxed geometry.

Computed properties:
DFT formation energy: -2.51 eV/atom
MP2020-corrected energy: -4.501 eV/atom
M_tot: 1.000 μB per cell

Cell lengths 6.2331, 6.2331, 6.2331 Å; angles 121.42, 121.42, 87.56 degrees
Positions (direct):
Rb: 0.2500 0.7500 0.5000
Rb: 0.7500 0.2500 0.5000
Na: 0.0000 0.0000 0.0000
Pd: 0.5000 0.5000 0.0000
F: 0.2539 0.2539 0.0000
F: 0.2685 0.2685 0.5369
F: 0.2685 0.7315 0.0000
F: 0.7315 0.2685 0.0000
F: 0.7315 0.7315 0.4631
F: 0.7461 0.7461 0.0000

DFT (PBE-GGA) results for crystalline Ti3Al5 at its relaxed geometry.

Computed properties:
DFT formation energy: -0.40 eV/atom

Cell lengths 3.9208, 3.9208, 8.3673 Å; angles 90.00, 90.00, 90.00 degrees
Positions (direct):
Ti: 0.0000 0.0000 0.0000
Ti: 0.0000 0.0000 0.5000
Ti: 0.5000 0.5000 0.0000
Al: 0.0000 0.5000 0.2480
Al: 0.0000 0.5000 0.7520
Al: 0.5000 0.0000 0.2480
Al: 0.5000 0.0000 0.7520
Al: 0.5000 0.5000 0.5000

DFT (PBE-GGA) results for crystalline Li2S2O7 at its relaxed geometry.

Computed properties:
DFT formation energy: -2.10 eV/atom
MP2020-corrected energy: -6.344 eV/atom
M_tot: 0.002 μB per cell

Cell lengths 13.3572, 8.3699, 4.9316 Å; angles 90.00, 90.00, 90.00 degrees
Positions (direct):
Li: 0.1038 0.0685 0.1010
Li: 0.1038 0.4315 0.1010
Li: 0.3962 0.5685 0.6010
Li: 0.3962 0.9315 0.6010
Li: 0.6038 0.0685 0.3990
Li: 0.6038 0.4315 0.3990
Li: 0.8962 0.5685 0.8990
Li: 0.8962 0.9315 0.8990
S: 0.0040 0.7500 0.3855
S: 0.2162 0.7500 0.2780
S: 0.2838 0.2500 0.7780
S: 0.4960 0.2500 0.8855
S: 0.5040 0.7500 0.1145
S: 0.7162 0.7500 0.2220
S: 0.7838 0.2500 0.7220
S: 0.9960 0.2500 0.6145
O: 0.0078 0.1037 0.7742
O: 0.0078 0.3963 0.7742
O: 0.0542 0.2500 0.3636
O: 0.1181 0.7500 0.4996
O: 0.2008 0.2500 0.9703
O: 0.2061 0.6034 0.1245
O: 0.2061 0.8966 0.1245
O: 0.2939 0.1034 0.6245
O: 0.2939 0.3966 0.6245
O: 0.2992 0.7500 0.4703
O: 0.3819 0.2500 0.9996
O: 0.4458 0.7500 0.8636
O: 0.4922 0.6037 0.2742
O: 0.4922 0.8963 0.2742
O: 0.5078 0.1037 0.7258
O: 0.5078 0.3963 0.7258
O: 0.5542 0.2500 0.1364
O: 0.6181 0.7500 0.0004
O: 0.7008 0.2500 0.5297
O: 0.7061 0.6034 0.3755
O: 0.7061 0.8966 0.3755
O: 0.7939 0.1034 0.8755
O: 0.7939 0.3966 0.8755
O: 0.7992 0.7500 0.0297
O: 0.8819 0.2500 0.5004
O: 0.9458 0.7500 0.6364
O: 0.9922 0.6037 0.2258
O: 0.9922 0.8963 0.2258

DFT (PBE-GGA) results for crystalline Cr2HgS4 at its relaxed geometry.

Computed properties:
DFT formation energy: -0.71 eV/atom
MP2020-corrected energy: -5.876 eV/atom
M_tot: 23.742 μB per cell

Cell lengths 11.2047, 3.5239, 12.8538 Å; angles 90.00, 90.00, 90.00 degrees
Positions (direct):
Cr: 0.0543 0.2500 0.1126
Cr: 0.0882 0.2500 0.5937
Cr: 0.4118 0.7500 0.0937
Cr: 0.4457 0.7500 0.6126
Cr: 0.5543 0.2500 0.3874
Cr: 0.5882 0.2500 0.9063
Cr: 0.9118 0.7500 0.4063
Cr: 0.9457 0.7500 0.8874
Hg: 0.2413 0.2500 0.3203
Hg: 0.2587 0.7500 0.8203
Hg: 0.7413 0.2500 0.1797
Hg: 0.7587 0.7500 0.6797
S: 0.0476 0.7500 0.7132
S: 0.0821 0.2500 0.9322
S: 0.1132 0.7500 0.4636
S: 0.1987 0.7500 0.1480
S: 0.3013 0.2500 0.6480
S: 0.3868 0.2500 0.9636
S: 0.4179 0.7500 0.4322
S: 0.4524 0.2500 0.2132
S: 0.5476 0.7500 0.7868
S: 0.5821 0.2500 0.5678
S: 0.6132 0.7500 0.0364
S: 0.6987 0.7500 0.3520
S: 0.8013 0.2500 0.8520
S: 0.8868 0.2500 0.5364
S: 0.9179 0.7500 0.0678
S: 0.9524 0.2500 0.2868

DFT (PBE-GGA) results for crystalline Lu2TeO6 at its relaxed geometry.

Computed properties:
DFT formation energy: -3.02 eV/atom
MP2020-corrected energy: -7.673 eV/atom
M_tot: 0.002 μB per cell

Cell lengths 4.9157, 4.9157, 9.8869 Å; angles 90.00, 90.00, 90.00 degrees
Positions (direct):
Lu: 0.0000 0.0000 0.1654
Lu: 0.0000 0.0000 0.8346
Lu: 0.5000 0.5000 0.3346
Lu: 0.5000 0.5000 0.6654
Te: 0.0000 0.0000 0.5000
Te: 0.5000 0.5000 0.0000
O: 0.1853 0.1853 0.3507
O: 0.1853 0.1853 0.6493
O: 0.2174 0.2174 0.0000
O: 0.2826 0.7174 0.5000
O: 0.3147 0.6853 0.1493
O: 0.3147 0.6853 0.8507
O: 0.6853 0.3147 0.1493
O: 0.6853 0.3147 0.8507
O: 0.7174 0.2826 0.5000
O: 0.7826 0.7826 0.0000
O: 0.8147 0.8147 0.3507
O: 0.8147 0.8147 0.6493

DFT (PBE-GGA) results for crystalline Na3LaGaP3O12 at its relaxed geometry.

Computed properties:
DFT formation energy: -2.78 eV/atom
MP2020-corrected energy: -7.157 eV/atom
M_tot: 0.000 μB per cell

Cell lengths 9.1640, 9.2040, 13.1320 Å; angles 90.06, 90.19, 90.39 degrees
Positions (direct):
Na: 0.0000 0.0000 0.0000
Na: 0.0014 0.6577 0.6797
Na: 0.1599 0.6361 0.4173
Na: 0.2028 0.6259 0.9342
Na: 0.3345 0.6423 0.1860
Na: 0.3661 0.9813 0.4910
Na: 0.5047 0.5097 0.4773
Na: 0.5392 0.1499 0.1770
Na: 0.6640 0.1229 0.9342
Na: 0.7016 0.1327 0.4184
Na: 0.8409 0.1220 0.6837
Na: 0.8459 0.4979 0.9962
La: 0.1618 0.9432 0.2831
La: 0.1808 0.3437 0.5756
La: 0.1930 0.9402 0.7874
La: 0.6651 0.4322 0.7801
Ga: 0.1755 0.3445 0.0823
Ga: 0.6740 0.8385 0.5682
Ga: 0.6787 0.8392 0.0810
Ga: 0.6830 0.4428 0.2766
P: 0.0112 0.9639 0.5353
P: 0.0362 0.3013 0.8516
P: 0.3385 0.3044 0.3212
P: 0.3426 0.9884 0.0419
P: 0.3781 0.6482 0.6616
P: 0.5068 0.1200 0.6648
P: 0.5231 0.4973 0.0466
P: 0.5485 0.7847 0.3245
P: 0.8145 0.7981 0.8411
P: 0.8215 0.4968 0.5211
P: 0.8693 0.1520 0.1740
P: 0.9645 0.6269 0.1755
O: 0.0551 0.8972 0.6381
O: 0.0563 0.1271 0.5350
O: 0.0610 0.5383 0.0984
O: 0.0692 0.1373 0.8553
O: 0.0713 0.7022 0.2500
O: 0.0831 0.3670 0.7477
O: 0.0912 0.8809 0.4504
O: 0.1172 0.3831 0.9393
O: 0.2697 0.9018 0.9538
O: 0.2710 0.3508 0.2172
O: 0.2752 0.4030 0.4060
O: 0.2750 0.7064 0.7448
O: 0.2840 0.5861 0.5727
O: 0.2939 0.1506 0.0439
O: 0.2942 0.9090 0.1393
O: 0.3075 0.1418 0.3437
O: 0.3529 0.4884 0.0406
O: 0.3786 0.7934 0.3338
O: 0.4032 0.0178 0.7202
O: 0.4166 0.2343 0.6046
O: 0.4634 0.5216 0.7080
O: 0.4836 0.7618 0.6129
O: 0.5089 0.3187 0.3253
O: 0.5126 0.9835 0.0362
O: 0.5663 0.6618 0.0451
O: 0.5768 0.4278 0.1471
O: 0.5827 0.6190 0.3254
O: 0.5932 0.0361 0.5812
O: 0.5942 0.4122 0.9579
O: 0.6057 0.8572 0.2248
O: 0.6112 0.8673 0.4184
O: 0.6154 0.1836 0.7441
O: 0.7468 0.8804 0.9341
O: 0.7511 0.4229 0.4263
O: 0.7610 0.6537 0.5395
O: 0.7617 0.2431 0.2392
O: 0.7629 0.8605 0.7372
O: 0.7790 0.0555 0.0973
O: 0.7808 0.6331 0.8473
O: 0.7819 0.4040 0.6159
O: 0.8424 0.9600 0.5251
O: 0.8621 0.5233 0.2329
O: 0.8683 0.3140 0.8655
O: 0.8741 0.7370 0.1089
O: 0.9504 0.0533 0.2486
O: 0.9814 0.2384 0.1068
O: 0.9843 0.8098 0.8520
O: 0.9901 0.5087 0.5151

DFT (PBE-GGA) results for crystalline Cs7Fe4S8 at its relaxed geometry.

Computed properties:
DFT formation energy: -1.05 eV/atom
MP2020-corrected energy: -4.907 eV/atom

Cell lengths 10.5901, 10.5901, 17.0058 Å; angles 115.32, 115.32, 48.38 degrees
Positions (direct):
Cs: 0.0037 0.5251 0.8914
Cs: 0.0127 0.5058 0.6396
Cs: 0.2306 0.7694 0.7500
Cs: 0.2437 0.7463 0.5133
Cs: 0.2537 0.7563 0.9867
Cs: 0.4749 0.9963 0.6086
Cs: 0.4942 0.9873 0.8604
Cs: 0.5058 0.0127 0.1396
Cs: 0.5251 0.0037 0.3914
Cs: 0.7463 0.2437 0.0133
Cs: 0.7563 0.2537 0.4867
Cs: 0.7694 0.2306 0.2500
Cs: 0.9873 0.4942 0.3604
Cs: 0.9963 0.4749 0.1086
Fe: 0.0935 0.7883 0.2789
Fe: 0.2117 0.9065 0.2211
Fe: 0.3229 0.5559 0.1596
Fe: 0.4441 0.6771 0.3404
Fe: 0.5559 0.3229 0.6596
Fe: 0.6771 0.4441 0.8404
Fe: 0.7883 0.0935 0.7789
Fe: 0.9065 0.2117 0.7211
S: 0.0357 0.8064 0.1301
S: 0.1326 0.1339 0.6835
S: 0.1339 0.1326 0.1835
S: 0.1936 0.9643 0.3699
S: 0.3260 0.3915 0.5460
S: 0.3457 0.5016 0.2904
S: 0.3915 0.3260 0.0460
S: 0.4984 0.6543 0.2096
S: 0.5016 0.3457 0.7904
S: 0.6085 0.6740 0.9540
S: 0.6543 0.4984 0.7096
S: 0.6740 0.6085 0.4540
S: 0.8064 0.0357 0.6301
S: 0.8661 0.8674 0.8165
S: 0.8674 0.8661 0.3165
S: 0.9643 0.1936 0.8699

What did the fifth record say?
DFT (PBE-GGA) results for crystalline CeSe2 at its relaxed geometry.

Computed properties:
DFT formation energy: -1.41 eV/atom
MP2020-corrected energy: -5.721 eV/atom
M_tot: 0.002 μB per cell

Cell lengths 13.6682, 13.6682, 23.5035 Å; angles 90.00, 90.00, 101.38 degrees
Positions (direct):
Ce: 0.0000 0.0000 0.1343
Ce: 0.0000 0.0000 0.8657
Ce: 0.0871 0.6879 0.1809
Ce: 0.1616 0.8384 0.0000
Ce: 0.1880 0.5904 0.6838
Ce: 0.3120 0.9129 0.8191
Ce: 0.3397 0.6603 0.5000
Ce: 0.4096 0.8120 0.3162
Ce: 0.5000 0.5000 0.3603
Ce: 0.5000 0.5000 0.6397
Ce: 0.5904 0.1880 0.3162
Ce: 0.6603 0.3397 0.5000
Ce: 0.6879 0.0871 0.8191
Ce: 0.8120 0.4096 0.6838
Ce: 0.8384 0.1616 0.0000
Ce: 0.9129 0.3120 0.1809
Se: 0.0000 0.5000 0.2148
Se: 0.0000 0.5000 0.7169
Se: 0.0028 0.8365 0.9303
Se: 0.0321 0.1761 0.1925
Se: 0.1414 0.6774 0.0703
Se: 0.1635 0.9972 0.0697
Se: 0.1761 0.0321 0.8075
Se: 0.1811 0.6414 0.5720
Se: 0.2468 0.7524 0.7513
Se: 0.2476 0.7532 0.2487
Se: 0.3226 0.8586 0.9297
Se: 0.3255 0.4739 0.6992
Se: 0.3381 0.5068 0.4262
Se: 0.3586 0.8189 0.4280
Se: 0.4739 0.3255 0.3008
Se: 0.4932 0.6619 0.5738
Se: 0.5000 0.0000 0.2831
Se: 0.5000 0.0000 0.7852
Se: 0.5068 0.3381 0.5738
Se: 0.5261 0.6745 0.3008
Se: 0.6414 0.1811 0.4280
Se: 0.6619 0.4932 0.4262
Se: 0.6745 0.5261 0.6992
Se: 0.6774 0.1414 0.9297
Se: 0.7524 0.2468 0.2487
Se: 0.7532 0.2476 0.7513
Se: 0.8189 0.3586 0.5720
Se: 0.8239 0.9679 0.8075
Se: 0.8365 0.0028 0.0697
Se: 0.8586 0.3226 0.0703
Se: 0.9679 0.8239 0.1925
Se: 0.9972 0.1635 0.9303